# Na5Ca2Nb2SiP5O24

A relaxed structure of Na5Ca2Nb2SiP5O24 (PBE, the Materials Project).

a = 9.1749 Å, b = 9.1792 Å, c = 22.7714 Å
α = 89.95°, β = 89.98°, γ = 60.08°
Last column: nearest neighbours and their distance in Å.
Space group P1 (No. 1)
Symmetry-distinct sites (fractional):
Na (0.0000, 0.0000, 0.0000) (multiplicity 1)  5 O 2.45-2.74
Na (0.0009, 0.3296, 0.7530) (multiplicity 1)  6 O 2.50-2.72
Na (0.0042, 0.7238, 0.4983) (multiplicity 1)  5 O 2.33-2.61
Na (0.0210, 0.3236, 0.2327) (multiplicity 1)  3 O 2.38-2.61
Na (0.3133, 0.0363, 0.8322) (multiplicity 1)  4 O 2.42-2.58
Na (0.3289, 0.6655, 0.0789) (multiplicity 1)  6 O 2.52-2.72
Na (0.3377, 0.6899, 0.5886) (multiplicity 1)  5 O 2.43-2.68
Na (0.3566, 0.2991, 0.3243) (multiplicity 1)  4 O 2.33-2.44
Na (0.6113, 0.3421, 0.4941) (multiplicity 1)  5 O 2.37-2.62
Na (0.6556, 0.9975, 0.9172) (multiplicity 1)  6 O 2.62-2.79
Na (0.6705, 0.0161, 0.4079) (multiplicity 1)  4 O 2.41-2.68
Na (0.6821, 0.6861, 0.3234) (multiplicity 1)  4 O 2.34-2.53
Na (0.6852, 0.3492, 0.1555) (multiplicity 1)  4 O 2.33-2.52
Na (0.7021, 0.3238, 0.8356) (multiplicity 1)  3 O 2.31-2.55
Na (0.9835, 0.6594, 0.8372) (multiplicity 1)  2 O 2.24-2.40
Ca (0.0020, 0.3470, 0.9080) (multiplicity 1)  6 O 2.27-2.38
Ca (0.0105, 0.3441, 0.0914) (multiplicity 1)  6 O 2.14-2.38
Ca (0.3339, 0.6735, 0.7252) (multiplicity 1)  6 O 2.16-2.29
Ca (0.3347, 0.6816, 0.4380) (multiplicity 1)  6 O 2.16-2.40
Ca (0.6599, 0.0041, 0.5560) (multiplicity 1)  5 O 2.12-2.35
Ca (0.6780, 0.0023, 0.2629) (multiplicity 1)  6 O 2.14-2.31
Nb (0.0018, 0.3315, 0.3895) (multiplicity 1)  6 O 1.95-2.12
Nb (0.0067, 0.3354, 0.6058) (multiplicity 1)  6 O 2.00-2.04
Nb (0.3304, 0.6734, 0.9298) (multiplicity 1)  6 O 1.95-2.09
Nb (0.3334, 0.6750, 0.2285) (multiplicity 1)  6 O 1.95-2.09
Nb (0.6690, 0.9992, 0.0660) (multiplicity 1)  6 O 1.94-2.09
Nb (0.6737, 0.0036, 0.7604) (multiplicity 1)  6 O 1.97-2.19
Si (0.0007, 0.6529, 0.9940) (multiplicity 1)  4 O 1.57-1.71
Si (0.0342, 0.9740, 0.8270) (multiplicity 1)  4 O 1.56-1.72
Si (0.6302, 0.3792, 0.3350) (multiplicity 1)  4 O 1.59-1.75
P (0.0011, 0.0593, 0.4985) (multiplicity 1)  4 O 1.51-1.60
P (0.0464, 0.6625, 0.3339) (multiplicity 1)  4 O 1.51-1.61
P (0.2814, 0.3383, 0.4964) (multiplicity 1)  4 O 1.52-1.59
P (0.3169, 0.0220, 0.9937) (multiplicity 1)  4 O 1.52-1.58
P (0.3268, 0.9682, 0.3298) (multiplicity 1)  4 O 1.50-1.60
P (0.3425, 0.3710, 0.8277) (multiplicity 1)  4 O 1.50-1.61
P (0.3703, 0.0151, 0.6618) (multiplicity 1)  4 O 1.49-1.62
P (0.3733, 0.3080, 0.1686) (multiplicity 1)  4 O 1.50-1.62
P (0.6287, 0.6774, 0.8274) (multiplicity 1)  4 O 1.50-1.60
P (0.6598, 0.7068, 0.1682) (multiplicity 1)  4 O 1.51-1.60
P (0.6788, 0.2945, 0.6579) (multiplicity 1)  4 O 1.50-1.65
P (0.6837, 0.3376, 0.9988) (multiplicity 1)  4 O 1.52-1.59
P (0.7284, 0.6141, 0.4971) (multiplicity 1)  4 O 1.52-1.60
P (0.9586, 0.7056, 0.6579) (multiplicity 1)  4 O 1.50-1.64
P (0.9728, 0.9999, 0.1640) (multiplicity 1)  4 O 1.51-1.61
O (0.0027, 0.1624, 0.5529) (multiplicity 1)  1 P 1.57
O (0.0069, 0.1603, 0.4419) (multiplicity 1)  1 P 1.60
O (0.0462, 0.5306, 0.0481) (multiplicity 1)  1 Si 1.57
O (0.0532, 0.4839, 0.3333) (multiplicity 1)  1 P 1.61
O (0.1165, 0.6849, 0.3910) (multiplicity 1)  1 P 1.51
O (0.1333, 0.6747, 0.6671) (multiplicity 1)  1 P 1.50
O (0.1375, 0.8443, 0.8855) (multiplicity 1)  1 Si 1.72
O (0.1458, 0.8299, 0.1690) (multiplicity 1)  1 P 1.58
O (0.1516, 0.8837, 0.5029) (multiplicity 1)  1 P 1.51
O (0.1544, 0.8936, 0.7733) (multiplicity 1)  1 Si 1.56
O (0.1617, 0.1468, 0.3331) (multiplicity 1)  1 P 1.58
O (0.1647, 0.6896, 0.9869) (multiplicity 1)  1 Si 1.71
O (0.1664, 0.6480, 0.2800) (multiplicity 1)  1 P 1.61
O (0.1795, 0.3328, 0.5516) (multiplicity 1)  1 P 1.58
O (0.1811, 0.3363, 0.4400) (multiplicity 1)  1 P 1.59
O (0.1827, 0.0978, 0.0411) (multiplicity 1)  1 P 1.52
O (0.1920, 0.1869, 0.6609) (multiplicity 1)  1 P 1.61
O (0.1973, 0.3371, 0.8387) (multiplicity 1)  1 P 1.53
O (0.1991, 0.3357, 0.1588) (multiplicity 1)  1 P 1.50
O (0.2671, 0.1161, 0.9353) (multiplicity 1)  1 P 1.53
O (0.2822, 0.5049, 0.5017) (multiplicity 1)  1 P 1.54
O (0.3036, 0.8748, 0.2744) (multiplicity 1)  1 P 1.60
O (0.3113, 0.4749, 0.7735) (multiplicity 1)  1 P 1.50
O (0.3384, 0.8698, 0.6667) (multiplicity 1)  1 P 1.50
O (0.3495, 0.8372, 0.9846) (multiplicity 1)  1 P 1.58
O (0.3540, 0.8646, 0.3839) (multiplicity 1)  1 P 1.50
O (0.3649, 0.4705, 0.8819) (multiplicity 1)  1 P 1.61
O (0.3718, 0.4851, 0.1691) (multiplicity 1)  1 P 1.62
O (0.4455, 0.2255, 0.2273) (multiplicity 1)  1 P 1.52
O (0.4580, 0.1889, 0.4908) (multiplicity 1)  1 P 1.52
O (0.4658, 0.0073, 0.6079) (multiplicity 1)  1 P 1.49
O (0.4662, 0.0337, 0.7188) (multiplicity 1)  1 P 1.62
O (0.4748, 0.9985, 0.3219) (multiplicity 1)  1 P 1.53
O (0.4852, 0.7066, 0.1682) (multiplicity 1)  1 P 1.60
O (0.4902, 0.0030, 0.0136) (multiplicity 1)  1 P 1.58
O (0.5032, 0.2018, 0.1179) (multiplicity 1)  1 P 1.60
O (0.5083, 0.4933, 0.9848) (multiplicity 1)  1 P 1.56
O (0.5084, 0.7020, 0.8813) (multiplicity 1)  1 P 1.59
O (0.5154, 0.1969, 0.8240) (multiplicity 1)  1 P 1.60
O (0.5223, 0.5156, 0.2766) (multiplicity 1)  1 Si 1.75, 1 Nb 1.95
O (0.5326, 0.4632, 0.3942) (multiplicity 1)  1 Si 1.59
O (0.5346, 0.4690, 0.6669) (multiplicity 1)  1 P 1.50
O (0.5594, 0.6406, 0.7731) (multiplicity 1)  1 P 1.50
O (0.5601, 0.6209, 0.5021) (multiplicity 1)  1 P 1.52
O (0.6308, 0.8505, 0.8220) (multiplicity 1)  1 P 1.60
O (0.6500, 0.8309, 0.1169) (multiplicity 1)  1 P 1.60
O (0.6508, 0.1973, 0.3278) (multiplicity 1)  1 Si 1.59
O (0.6572, 0.1813, 0.0109) (multiplicity 1)  1 P 1.59
O (0.6685, 0.2140, 0.6017) (multiplicity 1)  1 P 1.50
O (0.6783, 0.7739, 0.2265) (multiplicity 1)  1 P 1.51
O (0.6953, 0.1720, 0.7135) (multiplicity 1)  1 P 1.65
O (0.7259, 0.7806, 0.4909) (multiplicity 1)  1 P 1.52
O (0.7563, 0.3704, 0.0538) (multiplicity 1)  1 P 1.52
O (0.7986, 0.5271, 0.1573) (multiplicity 1)  1 P 1.52
O (0.8002, 0.2853, 0.9448) (multiplicity 1)  1 P 1.54
O (0.8086, 0.5331, 0.8380) (multiplicity 1)  1 P 1.53
O (0.8170, 0.3767, 0.3348) (multiplicity 1)  1 Si 1.70
O (0.8300, 0.5106, 0.4401) (multiplicity 1)  1 P 1.60
O (0.8344, 0.8106, 0.7129) (multiplicity 1)  1 P 1.64
O (0.8353, 0.0581, 0.4916) (multiplicity 1)  1 P 1.53
O (0.8350, 0.5082, 0.5514) (multiplicity 1)  1 P 1.57
O (0.8360, 0.8484, 0.0103) (multiplicity 1)  1 Si 1.71
O (0.8502, 0.9708, 0.8195) (multiplicity 1)  1 Si 1.71
O (0.8514, 0.2977, 0.6597) (multiplicity 1)  1 P 1.60
O (0.8632, 0.7962, 0.3256) (multiplicity 1)  1 P 1.52
O (0.8683, 0.0294, 0.2183) (multiplicity 1)  1 P 1.51
O (0.8733, 0.9815, 0.1090) (multiplicity 1)  1 P 1.61
O (0.8807, 0.7969, 0.6013) (multiplicity 1)  1 P 1.51
O (0.9567, 0.6064, 0.9315) (multiplicity 1)  1 Si 1.60
O (0.9620, 0.5299, 0.6592) (multiplicity 1)  1 P 1.60
O (0.9915, 0.1648, 0.8387) (multiplicity 1)  1 Si 1.61
O (0.9960, 0.1507, 0.1535) (multiplicity 1)  1 P 1.52

Total energy after the MP2020 corrections (eV/atom): -7.524
Energy relative to the elements (eV per atom): -2.856
Electronic total energy (eV per cell): -830.840